Record 1
HoCoC2 | meta-GGA r2SCAN | relaxed

Geometry as POSCAR:
```
HoCoC2
1.0
3.5279 0.0000 0.0000
0.0000 2.2328 2.9756
0.0000 -2.2328 2.9756
Ho Co C
1 1 2
Cartesian
0.0000 0.0000 0.0000 Ho
1.7640 0.0000 3.6655 Co
1.7640 -0.6883 1.8278 C
1.7640 0.6883 1.8278 C
```

Values from the calculation:
electronic total energy: -16.910 eV/atom
ρ: 8.78 Mg/m³
formation energy: -0.408 eV/atom
size of the total moment: 0.00 μB/f.u.

Record 2
Na3MgPCO7 | meta-GGA r2SCAN | relaxed

Geometry as POSCAR:
```
Na3MgPCO7
1.0
5.1096 0.0000 0.0000
0.0000 6.5835 0.0000
-0.0450 0.0000 8.7931
Na Mg P C O
6 2 2 2 14
Cartesian
1.2150 1.6459 0.7226 Na
1.2463 3.3197 6.4640 Na
1.2463 6.5556 6.4640 Na
3.8182 0.0279 2.3291 Na
3.8182 3.2639 2.3291 Na
3.8496 4.9377 8.0706 Na
1.0902 4.9377 3.1085 Mg
3.9743 1.6459 5.6846 Mg
1.4855 1.6459 3.6449 P
3.5791 4.9377 5.1483 P
1.3703 4.9377 0.5581 C
3.6942 1.6459 8.2350 C
0.2022 4.9377 1.1153 O
0.7480 1.6459 4.9857 O
1.1244 0.4087 2.8020 O
1.1244 2.8831 2.8020 O
1.4418 4.9377 8.0689 O
2.0583 4.9377 4.8730 O
2.4177 4.9377 1.3202 O
2.6468 1.6459 7.4729 O
3.0062 1.6459 3.9201 O
3.6227 1.6459 0.7242 O
3.9402 3.7005 5.9911 O
3.9402 6.1748 5.9911 O
4.3165 4.9377 3.8074 O
4.8623 1.6459 7.6778 O
```

Values from the calculation:
electronic total energy: -8.179 eV/atom
ρ: 2.79 Mg/m³
formation energy: -2.362 eV/atom
size of the total moment: 0.00 μB/f.u.